## Er3InC (GGA-PBE)

Data for an optimized crystal structure of Er3InC.

Geometry as POSCAR:
```
Er3InC
1.0
-0.3017 -3.4677 -4.3018
-0.4665 -4.2769 3.4803
-5.5057 0.5524 -0.0592
Er In C
3 1 1
Direct
0.0000 0.5000 0.5000
0.5000 0.0000 0.5000
0.5000 0.5000 0.0000
0.5000 0.5000 0.5000
0.0000 0.0000 0.0000
```

The calculation puts the calculated formation energy at 1608 meV per atom. The final energy comes out at -3.528 eV/atom. The crystal system is cubic.

---

## ErCO4 (GGA-PBE)

Data for an optimized crystal structure of ErCO4.

Geometry as POSCAR:
```
ErCO4
1.0
-11.0963 2.2848 -3.9070
1.6626 -4.7715 10.8665
0.4774 8.8050 3.7932
Er C O
18 18 72
Direct
0.4358 0.2154 0.7387
0.7797 0.5642 0.7387
0.7846 0.2203 0.7387
0.4358 0.2154 0.2613
0.7797 0.5642 0.2613
0.7846 0.2203 0.2613
0.1035 0.5452 0.7575
0.4418 0.8965 0.7575
0.4548 0.5582 0.7575
0.1035 0.5452 0.2425
0.4418 0.8965 0.2425
0.4548 0.5582 0.2425
0.1237 0.2323 0.7573
0.1086 0.8763 0.7573
0.7677 0.8914 0.7573
0.1237 0.2323 0.2427
0.1086 0.8763 0.2427
0.7677 0.8914 0.2427
0.1571 0.6805 0.5000
0.5234 0.8429 0.5000
0.3195 0.4766 0.5000
0.5536 0.1301 0.5000
0.5765 0.4464 0.5000
0.8699 0.4235 0.5000
0.1984 0.1749 0.5000
0.9765 0.8016 0.5000
0.8251 0.0235 0.5000
0.2461 0.4628 0.0000
0.2167 0.7539 0.0000
0.5372 0.7833 0.0000
0.8923 0.0971 0.0000
0.2049 0.1077 0.0000
0.9029 0.7951 0.0000
0.4842 0.1328 0.0000
0.6486 0.5158 0.0000
0.8672 0.3514 0.0000
0.1517 0.5692 0.5000
0.4174 0.8483 0.5000
0.4308 0.5826 0.5000
0.1574 0.7310 0.6188
0.5737 0.8426 0.6188
0.2690 0.4263 0.6188
0.1574 0.7310 0.3812
0.5737 0.8426 0.3812
0.2690 0.4263 0.3812
0.4928 0.1943 0.5000
0.7015 0.5072 0.5000
0.8057 0.2985 0.5000
0.5162 0.4172 0.6181
0.9009 0.4838 0.6181
0.5828 0.0991 0.6181
0.5162 0.4172 0.3819
0.9009 0.4838 0.3819
0.5828 0.0991 0.3819
0.0918 0.1777 0.5000
0.0859 0.9082 0.5000
0.8223 0.9141 0.5000
0.2507 0.1763 0.6178
0.9256 0.7493 0.6178
0.8237 0.0744 0.6178
0.2507 0.1763 0.3822
0.9256 0.7493 0.3822
0.8237 0.0744 0.3822
0.1628 0.6299 0.0000
0.4671 0.8372 0.0000
0.3701 0.5329 0.0000
0.1843 0.4275 0.8829
0.2432 0.8157 0.8829
0.5725 0.7568 0.8829
0.1843 0.4275 0.1171
0.2432 0.8157 0.1171
0.5725 0.7568 0.1171
0.1478 0.1758 0.0000
0.0280 0.8522 0.0000
0.8242 0.9720 0.0000
0.9249 0.1574 0.8819
0.2325 0.0751 0.8819
0.8426 0.7675 0.8819
0.9249 0.1574 0.1181
0.2325 0.0751 0.1181
0.8426 0.7675 0.1181
0.4843 0.2411 0.0000
0.7567 0.5157 0.0000
0.7589 0.2433 0.0000
0.4826 0.0806 0.8821
0.5981 0.5174 0.8821
0.9194 0.4019 0.8821
0.4826 0.0806 0.1179
0.5981 0.5174 0.1179
0.9194 0.4019 0.1179
0.6667 0.3333 0.7584
0.6667 0.3333 0.2416
0.3333 0.6667 0.7490
0.3333 0.6667 0.2510
0.0000 0.0000 0.7427
0.0000 0.0000 0.2573
0.9906 0.6525 0.8100
0.6619 0.0094 0.8100
0.3475 0.3381 0.8100
0.9906 0.6525 0.1900
0.6619 0.0094 0.1900
0.3475 0.3381 0.1900
0.0086 0.3297 0.6910
0.3211 0.9914 0.6910
0.6703 0.6789 0.6910
0.0086 0.3297 0.3090
0.3211 0.9914 0.3090
0.6703 0.6789 0.3090
```

The calculation puts the calculated formation energy at -2527 meV per atom. For the total energy after the MP2020 corrections, the calculation gives -877.475 eV per cell. The final energy comes out at -7.667 eV/atom. The crystal system is hexagonal. The energy above the most stable polymorph in this dataset comes out at 0 meV/atom.

---

## Li4Cu3SbP4O16 (GGA-PBE)

Data for an optimized crystal structure of Li4Cu3SbP4O16.

Geometry as POSCAR:
```
Li4Cu3SbP4O16
1.0
6.3265 0.0000 0.0000
0.0000 4.7888 0.0000
0.0000 0.3128 10.2606
Li Cu Sb P O
4 3 1 4 16
Direct
0.2565 0.0031 0.0185
0.7435 0.0031 0.0185
0.7444 0.4973 0.4838
0.2556 0.4973 0.4838
0.5000 0.9523 0.2822
0.5000 0.5497 0.7877
0.0000 0.4401 0.2145
0.0000 0.0263 0.7148
0.0000 0.9080 0.3954
0.0000 0.5820 0.9207
0.5000 0.4237 0.0979
0.5000 0.0883 0.5841
0.0000 0.7773 0.5420
0.1998 0.7810 0.3335
0.8002 0.7810 0.3335
0.5000 0.7675 0.6028
0.5000 0.7470 0.1015
0.1938 0.7136 0.8417
0.8062 0.7136 0.8417
0.0000 0.7073 0.0571
0.5000 0.3145 0.9545
0.6986 0.2892 0.1652
0.3014 0.2892 0.1652
0.0000 0.2625 0.9245
0.0000 0.2307 0.3967
0.6957 0.2290 0.6490
0.3043 0.2290 0.6490
0.5000 0.1962 0.4403
```

The calculation puts the calculated formation energy at -2226 meV per atom. For the total energy after the MP2020 corrections, the calculation gives -187.209 eV per cell. The final energy comes out at -6.293 eV/atom. The crystal system is monoclinic.

---

## CdSe (GGA-PBE)

Data for an optimized crystal structure of CdSe.

Geometry as POSCAR:
```
CdSe
1.0
-3.1064 -3.1064 0.0000
-3.1064 0.0000 -3.1064
0.0000 -3.1064 -3.1064
Cd Se
1 1
Direct
0.0000 0.0000 0.0000
0.2500 0.2500 0.2500
```

The calculation puts the calculated formation energy at -856 meV per atom. For the total energy after the MP2020 corrections, the calculation gives -6.130 eV per cell. The final energy comes out at -2.829 eV/atom. The crystal system is cubic. As for the piezoelectric modulus e_max: 0.06 C/m².

---

## TmPaOs2 (GGA-PBE)

Data for an optimized crystal structure of TmPaOs2.

Geometry as POSCAR:
```
TmPaOs2
1.0
0.0000 3.4187 3.4187
3.4187 0.0000 3.4187
3.4187 3.4187 0.0000
Tm Pa Os
1 1 2
Direct
0.5000 0.5000 0.5000
0.0000 0.0000 0.0000
0.7500 0.7500 0.7500
0.2500 0.2500 0.2500
```

The calculation puts the calculated formation energy at -269 meV per atom. The final energy comes out at -9.381 eV/atom. The crystal system is cubic.

---

## Ba2Mg17 (GGA-PBE)

Data for an optimized crystal structure of Ba2Mg17.

Geometry as POSCAR:
```
Ba2Mg17
1.0
-4.4787 0.2525 6.6806
-1.4654 -7.8968 0.4952
5.8881 -1.7645 5.1933
Ba Mg
2 17
Direct
0.3379 0.3379 0.3379
0.6621 0.6621 0.6621
0.2977 0.7023 0.0000
0.8400 0.3410 0.3410
0.6590 0.1600 0.6590
0.1006 0.1006 0.1006
0.2977 0.0000 0.7023
0.7023 0.2977 0.0000
0.3410 0.3410 0.8400
0.8994 0.8994 0.8994
0.0000 0.7023 0.2977
0.0000 0.0000 0.5000
0.7023 0.0000 0.2977
0.3410 0.8400 0.3410
0.1600 0.6590 0.6590
0.6590 0.6590 0.1600
0.5000 0.0000 0.0000
0.0000 0.2977 0.7023
0.0000 0.5000 0.0000
```

The calculation puts the calculated formation energy at -57 meV per atom. The final energy comes out at -1.690 eV/atom. The crystal system is trigonal.

---

## Nb2Pb3O8 (GGA-PBE)

Data for an optimized crystal structure of Nb2Pb3O8.

Geometry as POSCAR:
```
Nb2Pb3O8
1.0
-6.5318 -0.1698 -4.0266
-2.0316 -6.4492 3.5675
-4.9156 5.8086 7.7288
Nb Pb O
6 9 24
Direct
0.0089 0.2416 0.7487
0.5090 0.7510 0.2447
0.0089 0.7584 0.2513
0.7432 0.0000 0.5000
0.2518 0.0000 0.0000
0.5090 0.2490 0.7553
0.9892 0.2718 0.2511
0.5052 0.2655 0.2469
0.2472 0.5000 0.0000
0.7495 0.5000 0.5000
0.2513 0.5000 0.5000
0.7580 0.5000 0.0000
0.5052 0.7345 0.7531
0.9892 0.7282 0.7489
0.2518 0.0000 0.5000
0.2542 0.2347 0.0783
0.4562 0.5486 0.1317
0.5341 0.5441 0.3697
0.0370 0.5503 0.1303
0.2494 0.7568 0.3155
0.5341 0.4559 0.6303
0.9625 0.5423 0.3678
0.2494 0.2432 0.6845
0.4562 0.4514 0.8683
0.9625 0.4577 0.6322
0.0370 0.4497 0.8697
0.7525 0.7652 0.5801
0.2542 0.7653 0.9217
0.9379 0.0760 0.6180
0.0678 0.0771 0.8764
0.5576 0.0745 0.6172
0.7496 0.2529 0.7969
0.0678 0.9229 0.1236
0.4308 0.0736 0.8727
0.7496 0.7471 0.2031
0.9379 0.9240 0.3820
0.4308 0.9264 0.1273
0.5576 0.9255 0.3828
0.7525 0.2348 0.4199
```

The calculation puts the calculated formation energy at -2241 meV per atom. For the total energy after the MP2020 corrections, the calculation gives -300.170 eV per cell. The final energy comes out at -7.274 eV/atom. The crystal system is monoclinic.

---

## BeReO3 (GGA-PBE)

Data for an optimized crystal structure of BeReO3.

Geometry as POSCAR:
```
BeReO3
1.0
-2.8978 0.3442 1.8486
1.7109 -0.9260 2.8545
0.7800 3.3101 0.6063
Be Re O
1 1 3
Direct
0.5000 0.5000 0.5000
0.0000 0.0000 0.0000
0.5000 0.5000 0.0000
0.5000 0.0000 0.5000
0.0000 0.5000 0.5000
```

The calculation puts the calculated formation energy at -1009 meV per atom. For the total energy after the MP2020 corrections, the calculation gives -36.073 eV per cell. The final energy comes out at -6.802 eV/atom. The crystal system is cubic.

---

## LiAuO2 (GGA-PBE)

Data for an optimized crystal structure of LiAuO2.

Geometry as POSCAR:
```
LiAuO2
1.0
2.0398 5.4840 0.0000
-2.0398 5.4840 0.0000
0.0000 2.2312 4.9191
Li Au O
2 2 4
Direct
0.3723 0.6277 0.2500
0.6277 0.3723 0.7500
0.0000 0.5000 0.0000
0.5000 0.0000 0.5000
0.3146 0.4058 0.6323
0.4058 0.3146 0.1323
0.5942 0.6854 0.8677
0.6854 0.5942 0.3677
```

The calculation puts the calculated formation energy at -1203 meV per atom. For the total energy after the MP2020 corrections, the calculation gives -39.782 eV per cell. The final energy comes out at -4.629 eV/atom. The crystal system is monoclinic.

---

## MnGa2S4 (GGA-PBE)

Data for an optimized crystal structure of MnGa2S4.

Geometry as POSCAR:
```
MnGa2S4
1.0
-4.9295 4.1279 0.4373
-5.9768 -10.4670 -2.9020
4.3767 0.7194 12.2900
Mn Ga S
6 12 24
Direct
0.4636 0.2164 0.4340
0.1198 0.8694 0.7400
0.5367 0.7838 0.5650
0.7053 0.9569 0.9124
0.2954 0.0433 0.0870
0.8782 0.1278 0.2573
0.2934 0.6720 0.9194
0.4539 0.8331 0.2522
0.3009 0.4175 0.2508
0.7104 0.3288 0.0804
0.0341 0.8873 0.4025
0.1294 0.2461 0.9185
0.9700 0.1156 0.5997
0.8724 0.5182 0.4023
0.1308 0.4857 0.5984
0.5509 0.1662 0.7486
0.7021 0.5811 0.7482
0.8712 0.7509 0.0807
0.7467 0.7434 0.2374
0.2572 0.2565 0.7645
0.4266 0.4140 0.6032
0.6709 0.1502 0.0882
0.5961 0.5910 0.9182
0.0796 0.0600 0.9105
0.0107 0.5080 0.7643
0.2561 0.2386 0.2638
0.8249 0.3257 0.9181
0.9920 0.4927 0.2358
0.9171 0.9117 0.5691
0.9221 0.9369 0.0875
0.0865 0.0905 0.4331
0.4048 0.4069 0.0807
0.3319 0.8495 0.9103
0.8454 0.3453 0.4331
0.5707 0.5846 0.3991
0.4965 0.9752 0.7362
0.3247 0.8105 0.3970
0.5090 0.0248 0.2647
0.7434 0.7600 0.7356
0.1580 0.6591 0.5677
0.1803 0.6751 0.0818
0.6714 0.1850 0.6001
```

The calculation puts the calculated formation energy at -921 meV per atom. For the total energy after the MP2020 corrections, the calculation gives -229.251 eV per cell. The final energy comes out at -5.171 eV/atom. The crystal system is triclinic.

---

## NbAlCu (GGA-PBE)

Data for an optimized crystal structure of NbAlCu.

Geometry as POSCAR:
```
NbAlCu
1.0
-2.4499 -4.3465 0.0000
-2.5393 4.3981 0.0000
0.0000 0.0000 -8.1020
Nb Al Cu
4 4 4
Direct
0.6699 0.3350 0.5623
0.3262 0.6631 0.4332
0.3262 0.6631 0.0668
0.6699 0.3350 0.9377
0.9897 0.9948 0.4865
0.9897 0.9948 0.0135
0.1809 0.3478 0.7500
0.1809 0.8331 0.7500
0.6716 0.8358 0.7500
0.8252 0.6520 0.2500
0.8252 0.1732 0.2500
0.3446 0.1723 0.2500
```

The calculation puts the calculated formation energy at -276 meV per atom. The final energy comes out at -6.258 eV/atom. The crystal system is orthorhombic.

---

## Cs2PrAgCl6 (GGA-PBE)

Data for an optimized crystal structure of Cs2PrAgCl6.

Geometry as POSCAR:
```
Cs2PrAgCl6
1.0
0.0000 5.5363 5.5363
5.5363 0.0000 5.5363
5.5363 5.5363 0.0000
Cs Pr Ag Cl
2 1 1 6
Direct
0.7500 0.7500 0.7500
0.2500 0.2500 0.2500
0.5000 0.5000 0.5000
0.0000 0.0000 0.0000
0.7490 0.2510 0.2510
0.2510 0.2510 0.7490
0.2510 0.7490 0.7490
0.2510 0.7490 0.2510
0.7490 0.2510 0.7490
0.7490 0.7490 0.2510
```

The calculation puts the calculated formation energy at -2193 meV per atom. For the total energy after the MP2020 corrections, the calculation gives -42.422 eV per cell. The final energy comes out at -3.874 eV/atom. The crystal system is cubic.

---

## MgFeCu5S4 (GGA-PBE)

Data for an optimized crystal structure of MgFeCu5S4.

Geometry as POSCAR:
```
MgFeCu5S4
1.0
3.3548 0.8541 1.7901
-3.3903 0.5970 1.8265
1.6135 -12.8792 3.1214
Mg Fe Cu S
1 1 5 4
Direct
0.8080 0.6160 0.4168
0.6863 0.3726 0.0594
0.5704 0.1409 0.7086
0.1958 0.3917 0.5848
0.3175 0.6350 0.9510
0.4097 0.8194 0.2326
0.9464 0.8927 0.8404
0.0049 0.0097 0.0143
0.2538 0.5076 0.7594
0.7444 0.4887 0.2370
0.5045 0.0090 0.5083
```

The calculation puts the calculated formation energy at -381 meV per atom. For the total energy after the MP2020 corrections, the calculation gives -51.299 eV per cell. The final energy comes out at -4.481 eV/atom. The crystal system is monoclinic. The energy above the most stable polymorph in this dataset comes out at 0 meV/atom.

---

## Lu5Ir3 (GGA-PBE)

Data for an optimized crystal structure of Lu5Ir3.

Geometry as POSCAR:
```
Lu5Ir3
1.0
0.0000 0.0000 -6.0825
-4.0821 -7.0704 0.0000
-4.0837 7.0713 0.0000
Lu Ir
10 6
Direct
0.5000 0.3333 0.6667
0.5000 0.6666 0.3333
0.0000 0.6667 0.3333
0.0000 0.3334 0.6667
0.7500 0.2583 0.0000
0.7500 0.7417 0.7417
0.7500 0.0000 0.2583
0.2500 0.7417 0.0000
0.2500 0.2583 0.2583
0.2500 0.0000 0.7417
0.7500 0.6092 0.0000
0.7500 0.3910 0.3909
0.7500 0.0001 0.6091
0.2500 0.3908 0.0000
0.2500 0.6090 0.6091
0.2500 0.9999 0.3909
```

The calculation puts the calculated formation energy at -885 meV per atom. The final energy comes out at -7.025 eV/atom. The crystal system is hexagonal.